1.
## Na9Ta2Zn4P9O36 (PBE)

Data for an optimized crystal structure of Na9Ta2Zn4P9O36. Values from VASP.

Geometry as Quantum ESPRESSO input:
```
&SYSTEM
  ibrav = 0, nat = 360, ntyp = 5
/
ATOMIC_SPECIES
O 16.00 O.upf
Zn 65.41 Zn.upf
P 30.97 P.upf
Na 22.99 Na.upf
Ta 180.95 Ta.upf
CELL_PARAMETERS angstrom
-2.921 -0.356 8.530
16.392 -19.199 -9.491
17.566 11.742 6.517
ATOMIC_POSITIONS crystal
O 0.326 0.283 0.257
O 0.809 0.944 0.913
O 0.380 0.158 0.358
O 0.808 0.997 0.415
O 0.466 0.785 0.144
O 0.813 0.329 0.413
O 0.524 0.564 0.966
O 0.525 0.558 0.252
O 0.015 0.729 0.907
O 0.685 0.175 0.533
O 0.021 0.604 0.690
O 0.651 0.384 0.420
O 0.488 0.713 0.923
O 0.481 0.125 0.138
O 0.645 0.503 0.921
O 0.131 0.813 0.977
O 0.150 0.498 0.572
O 0.649 0.381 0.134
O 0.693 0.389 0.744
O 0.786 0.660 0.692
O 0.178 0.725 0.803
O 0.027 0.941 0.694
O 0.623 0.702 0.139
O 0.837 0.271 0.587
O 0.497 0.284 0.079
O 0.479 0.702 0.640
O 0.326 0.951 0.579
O 0.497 0.044 0.915
O 0.469 0.770 0.755
O 0.832 0.438 0.237
O 0.831 0.004 0.094
O 0.149 0.218 0.073
O 0.516 0.896 0.255
O 0.518 0.221 0.580
O 0.156 0.493 0.253
O 0.994 0.724 0.589
O 0.521 0.213 0.858
O 0.501 0.118 0.430
O 0.811 0.658 0.410
O 0.161 0.825 0.264
O 0.799 0.277 0.919
O 0.170 0.992 0.915
O 0.639 0.838 0.642
O 0.298 0.156 0.746
O 0.168 0.322 0.918
O 0.045 0.746 0.192
O 0.838 0.174 0.750
O 0.171 0.729 0.403
O 0.348 0.488 0.353
O 0.861 0.835 0.414
O 0.345 0.283 0.582
O 0.685 0.719 0.754
O 0.184 0.324 0.197
O 0.656 0.179 0.646
O 0.535 0.279 0.748
O 0.470 0.052 0.240
O 0.307 0.944 0.254
O 0.813 0.342 0.809
O 0.647 0.836 0.913
O 0.152 0.832 0.579
O 0.848 0.165 0.428
O 0.150 0.232 0.469
O 0.637 0.513 0.646
O 0.209 0.008 0.305
O 0.300 0.488 0.747
O 0.987 0.721 0.302
O 0.708 0.853 0.528
O 0.498 0.619 0.071
O 0.809 0.991 0.701
O 0.858 0.449 0.919
O 0.166 0.156 0.248
O 0.036 0.400 0.920
O 0.012 0.942 0.414
O 0.641 0.167 0.923
O 0.201 0.663 0.191
O 0.358 0.294 0.854
O 0.696 0.512 0.533
O 0.008 0.605 0.087
O 0.529 0.626 0.355
O 0.694 0.718 0.025
O 0.497 0.453 0.135
O 0.453 0.770 0.031
O 0.163 0.564 0.752
O 0.005 0.058 0.202
O 0.357 0.617 0.573
O 0.178 0.063 0.414
O 0.306 0.615 0.973
O 0.344 0.833 0.362
O 0.528 0.943 0.755
O 0.800 0.939 0.198
O 0.989 0.392 0.594
O 0.824 0.672 0.086
O 0.313 0.952 0.977
O 0.683 0.172 0.247
O 0.215 0.068 0.812
O 0.170 0.060 0.699
O 0.435 0.377 0.525
O 0.031 0.613 0.414
O 0.495 0.382 0.917
O 0.353 0.627 0.858
O 0.162 0.658 0.911
O 0.523 0.611 0.754
O 0.344 0.832 0.082
O 0.238 0.351 0.309
O 0.845 0.843 0.744
O 0.161 0.566 0.474
O 0.509 0.883 0.581
O 0.836 0.512 0.752
O 0.194 0.395 0.089
O 0.817 0.606 0.584
O 0.548 0.287 0.475
O 0.968 0.054 0.592
O 0.796 0.608 0.194
O 0.954 0.398 0.309
O 0.997 0.273 0.699
O 0.851 0.431 0.528
O 0.178 0.664 0.305
O 0.319 0.827 0.760
O 0.546 0.895 0.975
O 0.158 0.164 0.968
O 0.835 0.936 0.596
O 0.858 0.119 0.920
O 0.981 0.929 0.809
O 0.517 0.889 0.861
O 0.343 0.164 0.072
O 0.897 0.178 0.142
O 0.115 0.158 0.854
O 0.167 0.400 0.418
O 0.146 0.546 0.078
O 0.119 0.488 0.854
O 0.365 0.502 0.075
O 0.461 0.717 0.525
O 0.469 0.052 0.532
O 0.204 0.743 0.690
O 0.139 0.161 0.577
O 0.432 0.094 0.026
O 0.182 0.057 0.095
O 0.184 0.337 0.594
O 0.129 0.893 0.478
O 0.476 0.107 0.747
O 0.865 0.504 0.135
O 0.795 0.929 0.313
O 0.515 0.950 0.082
O 0.986 0.067 0.314
O 0.187 0.010 0.589
O 0.842 0.106 0.247
O 0.860 0.856 0.023
O 0.190 0.669 0.584
O 0.145 0.887 0.080
O 0.125 0.549 0.361
O 0.468 0.039 0.645
O 0.338 0.950 0.863
O 0.836 0.102 0.532
O 0.337 0.283 0.967
O 0.501 0.550 0.573
O 0.854 0.182 0.027
O 0.180 0.724 0.087
O 0.155 0.831 0.864
O 0.996 0.606 0.803
O 0.176 0.991 0.192
O 0.515 0.958 0.361
O 0.522 0.293 0.361
O 0.520 0.227 0.253
O 0.698 0.042 0.021
O 0.865 0.786 0.912
O 0.486 0.390 0.239
O 0.814 0.331 0.694
O 0.811 0.262 0.306
O 0.303 0.812 0.475
O 0.637 0.043 0.134
O 0.491 0.786 0.410
O 0.007 0.273 0.409
O 0.988 0.272 0.085
O 0.833 0.766 0.251
O 0.175 0.392 0.699
O 0.156 0.891 0.365
O 0.535 0.616 0.470
O 0.870 0.836 0.136
O 0.650 0.713 0.420
O 0.805 0.613 0.912
O 0.816 0.667 0.806
O 0.693 0.508 0.241
O 0.891 0.787 0.640
O 0.311 0.154 0.470
O 0.095 0.205 0.357
O 0.900 0.461 0.640
O 0.670 0.840 0.247
O 0.491 0.449 0.420
O 0.466 0.721 0.256
O 0.816 0.598 0.306
O 0.163 0.496 0.968
O 0.880 0.117 0.646
O 0.803 0.006 0.813
O 0.677 0.377 0.020
O 0.785 0.268 0.191
O 0.033 0.068 0.919
O 0.815 0.335 0.087
O 0.520 0.225 0.973
O 0.689 0.053 0.746
O 0.320 0.613 0.253
O 0.535 0.947 0.473
O 0.327 0.497 0.465
O 0.022 0.401 0.196
O 0.864 0.504 0.426
O 0.866 0.516 0.022
O 0.165 0.234 0.749
O 0.218 0.398 0.812
O 0.475 0.437 0.746
O 0.976 0.261 0.813
O 0.171 0.897 0.755
O 0.530 0.549 0.853
O 0.975 0.938 0.094
O 0.640 0.047 0.425
O 0.856 0.765 0.528
O 0.453 0.439 0.021
O 0.480 0.374 0.640
Zn 0.007 0.334 0.151
Zn 0.663 0.778 0.181
Zn 0.001 0.667 0.151
Zn 0.325 0.554 0.317
Zn 0.331 0.885 0.014
Zn 0.334 0.222 0.815
Zn 0.334 0.220 0.323
Zn 0.006 0.999 0.349
Zn 0.654 0.442 0.487
Zn 0.329 0.555 0.819
Zn 0.005 0.001 0.847
Zn 0.327 0.887 0.514
Zn 0.999 0.335 0.344
Zn 0.674 0.446 0.984
Zn 0.003 0.671 0.653
Zn 0.999 0.333 0.852
Zn 0.661 0.446 0.678
Zn 0.696 0.781 0.485
Zn 0.325 0.221 0.516
Zn 0.678 0.113 0.179
Zn 0.659 0.109 0.682
Zn 0.686 0.776 0.681
Zn 0.650 0.780 0.985
Zn 0.672 0.110 0.988
P 0.710 0.335 0.751
P 0.960 0.876 0.083
P 0.624 0.555 0.913
P 0.369 0.344 0.584
P 0.625 0.986 0.421
P 0.374 0.680 0.581
P 0.293 0.765 0.750
P 0.707 0.569 0.246
P 0.298 0.334 0.251
P 0.038 0.126 0.913
P 0.964 0.212 0.083
P 0.631 0.654 0.412
P 0.667 0.543 0.584
P 0.000 0.433 0.249
P 0.036 0.890 0.420
P 0.972 0.778 0.584
P 0.338 0.321 0.912
P 0.331 0.986 0.920
P 0.035 0.221 0.416
P 0.995 0.234 0.755
P 0.369 0.012 0.588
P 0.666 0.210 0.588
P 0.960 0.112 0.588
P 0.710 0.001 0.754
P 0.293 0.001 0.249
P 0.701 0.233 0.249
P 0.997 0.098 0.255
P 0.630 0.890 0.917
P 0.373 0.444 0.079
P 0.702 0.666 0.750
P 0.964 0.445 0.584
P 0.700 0.901 0.255
P 0.331 0.791 0.415
P 0.296 0.098 0.753
P 0.965 0.543 0.079
P 0.362 0.777 0.086
P 0.664 0.875 0.586
P 0.331 0.654 0.916
P 0.333 0.123 0.418
P 0.295 0.430 0.753
P 0.294 0.664 0.249
P 0.003 0.570 0.747
P 0.624 0.221 0.916
P 0.001 0.765 0.250
P 0.668 0.680 0.081
P 0.041 0.791 0.917
P 0.038 0.457 0.914
P 0.632 0.323 0.418
P 0.002 0.902 0.751
P 0.336 0.457 0.412
P 0.667 0.346 0.078
P 0.667 0.012 0.082
P 0.367 0.111 0.083
P 0.040 0.556 0.417
Na 0.323 0.224 0.175
Na 0.691 0.228 0.404
Na 0.301 0.779 0.582
Na 0.709 0.889 0.419
Na 0.013 0.567 0.590
Na 0.382 0.334 0.750
Na 0.000 0.127 0.750
Na 0.312 0.551 0.175
Na 0.643 0.874 0.743
Na 0.033 0.778 0.084
Na 0.622 0.542 0.745
Na 0.316 0.217 0.659
Na 0.321 0.990 0.077
Na 0.954 0.889 0.920
Na 0.624 0.208 0.749
Na 0.649 0.892 0.075
Na 0.667 0.778 0.833
Na 0.346 0.453 0.258
Na 0.711 0.014 0.921
Na 0.690 0.682 0.924
Na 0.685 0.665 0.592
Na 0.683 0.234 0.096
Na 0.995 0.457 0.756
Na 0.998 0.211 0.248
Na 0.333 0.429 0.917
Na 0.678 0.452 0.345
Na 0.366 0.786 0.237
Na 0.709 0.347 0.917
Na 0.336 0.892 0.160
Na 0.022 0.004 0.491
Na 0.986 0.102 0.408
Na 0.681 0.449 0.837
Na 0.336 0.553 0.674
Na 0.375 0.124 0.255
Na 0.358 0.684 0.422
Na 0.021 0.891 0.574
Na 0.951 0.222 0.917
Na 0.652 0.106 0.830
Na 0.958 0.431 0.412
Na 0.649 0.321 0.571
Na 0.653 0.103 0.321
Na 0.380 0.667 0.747
Na 0.335 0.343 0.418
Na 0.017 0.338 0.008
Na 0.986 0.669 0.507
Na 0.641 0.327 0.263
Na 0.997 0.003 0.994
Na 0.336 0.894 0.655
Na 0.996 0.661 0.011
Na 0.338 0.098 0.911
Na 0.010 0.331 0.492
Na 0.694 0.783 0.332
Na 0.620 0.666 0.246
Na 0.313 0.665 0.093
Ta 0.999 0.665 0.854
Ta 0.673 0.446 0.182
Ta 0.660 0.110 0.484
Ta 0.328 0.224 0.019
Ta 0.005 0.331 0.648
Ta 0.994 0.663 0.352
Ta 0.003 0.002 0.646
Ta 0.331 0.554 0.020
Ta 0.341 0.555 0.517
Ta 0.335 0.891 0.813
Ta 0.992 0.000 0.150
Ta 0.332 0.894 0.315
```

Properties
As for the space group: P1, No. 1. Its crystal system is triclinic.

---

2.
## TiMnCo2 (PBE)

Data for an optimized crystal structure of TiMnCo2. Values from VASP.

Geometry as Quantum ESPRESSO input:
```
&SYSTEM
  ibrav = 0, nat = 4, ntyp = 3
/
ATOMIC_SPECIES
Co 58.93 Co.upf
Ti 47.87 Ti.upf
Mn 54.94 Mn.upf
CELL_PARAMETERS angstrom
0.000 2.921 2.921
2.921 0.000 2.921
2.921 2.921 0.000
ATOMIC_POSITIONS crystal
Co 0.750 0.750 0.750
Co 0.250 0.250 0.250
Ti 0.000 0.000 0.000
Mn 0.500 0.500 0.500
```

Properties
As for the space group: Fm-3m, No. 225. Its crystal system is cubic.

---

3.
## Cs (PBE)

Data for an optimized crystal structure of Cs. Values from VASP.

Geometry as Quantum ESPRESSO input:
```
&SYSTEM
  ibrav = 0, nat = 2, ntyp = 1
/
ATOMIC_SPECIES
Cs 132.91 Cs.upf
CELL_PARAMETERS angstrom
5.144 0.000 0.000
0.000 5.144 0.000
-2.572 -2.572 9.305
ATOMIC_POSITIONS crystal
Cs 0.500 0.500 0.000
Cs 0.750 0.250 0.500
```

Properties
As for the space group: I4_1/amd, No. 141. Its crystal system is tetragonal.

---

4.
## Cs4Zr3Se14 (PBE)

Data for an optimized crystal structure of Cs4Zr3Se14. Values from VASP.

Geometry as Quantum ESPRESSO input:
```
&SYSTEM
  ibrav = 0, nat = 42, ntyp = 3
/
ATOMIC_SPECIES
Cs 132.91 Cs.upf
Zr 91.22 Zr.upf
Se 78.96 Se.upf
CELL_PARAMETERS angstrom
4.561 11.608 0.000
-4.561 11.608 0.000
0.000 5.727 13.855
ATOMIC_POSITIONS crystal
Cs 0.810 0.316 0.849
Cs 0.316 0.810 0.349
Cs 0.025 0.379 0.390
Cs 0.379 0.025 0.890
Cs 0.190 0.684 0.151
Cs 0.684 0.190 0.651
Cs 0.975 0.621 0.610
Cs 0.621 0.975 0.110
Zr 0.240 0.760 0.750
Zr 0.411 0.924 0.584
Zr 0.076 0.589 0.916
Zr 0.924 0.411 0.084
Zr 0.760 0.240 0.250
Zr 0.589 0.076 0.416
Se 0.536 0.335 0.418
Se 0.939 0.899 0.868
Se 0.252 0.549 0.721
Se 0.129 0.797 0.604
Se 0.605 0.685 0.109
Se 0.997 0.562 0.101
Se 0.464 0.665 0.582
Se 0.315 0.395 0.391
Se 0.188 0.160 0.164
Se 0.451 0.748 0.779
Se 0.395 0.315 0.891
Se 0.335 0.536 0.918
Se 0.748 0.451 0.279
Se 0.160 0.188 0.664
Se 0.061 0.101 0.132
Se 0.562 0.997 0.601
Se 0.203 0.871 0.896
Se 0.438 0.003 0.399
Se 0.003 0.438 0.899
Se 0.797 0.129 0.104
Se 0.101 0.061 0.632
Se 0.871 0.203 0.396
Se 0.665 0.464 0.082
Se 0.812 0.840 0.836
Se 0.549 0.252 0.221
Se 0.899 0.939 0.368
Se 0.685 0.605 0.609
Se 0.840 0.812 0.336
```

Properties
As for the space group: C2/c, No. 15. Its crystal system is monoclinic.

---

5.
## IF7 (PBE)

Data for an optimized crystal structure of IF7. Values from VASP.

Geometry as Quantum ESPRESSO input:
```
&SYSTEM
  ibrav = 0, nat = 16, ntyp = 2
/
ATOMIC_SPECIES
F 19.00 F.upf
I 126.90 I.upf
CELL_PARAMETERS angstrom
1.600 -0.609 -4.908
-4.254 -2.947 0.487
-5.392 7.341 -2.668
ATOMIC_POSITIONS crystal
F 0.678 0.550 0.894
F 0.599 0.985 0.405
F 0.099 0.485 0.095
F 0.473 0.210 0.158
F 0.210 0.473 0.842
F 0.067 0.067 0.000
F 0.485 0.099 0.905
F 0.567 0.567 0.500
F 0.710 0.973 0.658
F 0.973 0.710 0.342
F 0.550 0.678 0.106
F 0.050 0.178 0.394
F 0.178 0.050 0.606
F 0.985 0.599 0.595
I 0.368 0.368 0.000
I 0.868 0.868 0.500
```

Properties
As for the space group: Aea2, No. 41. The calculation puts the maximum piezoelectric response at 0.0 C/m². Its crystal system is orthorhombic.

---

The calculation returns the following calculated formation energy values, one per record and in order: -2624.3; -293.4; 88.0; -1368.2; -1685.2 meV/atom.